Below is an optimized crystal structure of MgCu4Cl4O4, with properties calculated at the GGA-PBE level.

Properties
Electronic total energy   -4.2140 eV/atom

Cell lengths 5.2981, 6.5683, 6.5462 Å; angles 89.04, 90.19, 114.64 degrees
Fractional coordinates of all 13 atoms:
1 Mg 0.9686 0.3661 0.2457
2 Cu 0.2520 0.0543 0.6008
3 Cu 0.2451 0.0066 0.1007
4 Cu 0.7379 0.9244 0.3894
5 Cu 0.7528 0.0274 0.8779
6 Cl 0.1820 0.3277 0.9256
7 Cl 0.3143 0.6721 0.4583
8 Cl 0.8465 0.6627 0.0893
9 Cl 0.6779 0.3285 0.5570
10 O 0.3693 0.9616 0.8414
11 O 0.1194 0.1140 0.3421
12 O 0.6460 0.0630 0.1544
13 O 0.8632 0.9014 0.6569